VASP calculation (GGA+U) on Na3Mg2Mo3O12 after structural relaxation.

- E_tot (eV/atom) = -6.33
- symmetry = No. 15
- density (Mg/m³) = 3.6
- ΔE_f (eV/atom) = -2.27

Lattice parameters (Å, degrees): 9.2031 9.2031 7.1917 74.79 74.79 95.42
Fractional positions:
Na (0.2357, 0.7643, 0.2500)
Na (0.7643, 0.2357, 0.7500)
Na (0.0000, 0.0000, 0.0000)
Na (0.0000, 0.0000, 0.5000)
Na (0.5289, 0.4711, 0.2500)
Na (0.4711, 0.5289, 0.7500)
Mg (0.5552, 0.8703, 0.3741)
Mg (0.4448, 0.1297, 0.6259)
Mg (0.1297, 0.4448, 0.1259)
Mg (0.8703, 0.5552, 0.8741)
Mo (0.7816, 0.2184, 0.2500)
Mo (0.2184, 0.7816, 0.7500)
Mo (0.3787, 0.1597, 0.1261)
Mo (0.6213, 0.8403, 0.8739)
Mo (0.8403, 0.6213, 0.3739)
Mo (0.1597, 0.3787, 0.6261)
O (0.4563, 0.0976, 0.3377)
O (0.5437, 0.9024, 0.6623)
O (0.9024, 0.5437, 0.1623)
O (0.0976, 0.4563, 0.8377)
O (0.5063, 0.8499, 0.1124)
O (0.4937, 0.1501, 0.8876)
O (0.1501, 0.4937, 0.3876)
O (0.8499, 0.5063, 0.6124)
O (0.2041, 0.0365, 0.1897)
O (0.7959, 0.9635, 0.8103)
O (0.9635, 0.7959, 0.3103)
O (0.0365, 0.2041, 0.6897)
O (0.7575, 0.0209, 0.2266)
O (0.2425, 0.9791, 0.7734)
O (0.9791, 0.2425, 0.2734)
O (0.0209, 0.7575, 0.7266)
O (0.6581, 0.2629, 0.4748)
O (0.3419, 0.7371, 0.5252)
O (0.7371, 0.3419, 0.0252)
O (0.2629, 0.6581, 0.9748)
O (0.6468, 0.6611, 0.4049)
O (0.3532, 0.3389, 0.5951)
O (0.3389, 0.3532, 0.0951)
O (0.6611, 0.6468, 0.9049)